Entry 1:
Here is a relaxed AlO3 crystal from the Materials Project. Energies are from GGA-PBE.

The value obtained for the formation energy is -1.476 eV/atom. As for the total energy: -179.5 eV for the cell shown. The crystal system is monoclinic. Its symmetry is No. 14.

Geometry as CIF:
```
data_AlO3
_cell_length_a 5.4302
_cell_length_b 8.9379
_cell_length_c 12.1598
_cell_angle_alpha 49.74
_cell_angle_beta 90.00
_cell_angle_gamma 90.00
_space_group_name_H-M_alt 'P 1'
_space_group_IT_number 1
loop_
_space_group_symop_operation_xyz
'x,y,z'
loop_
_atom_site_label
_atom_site_type_symbol
_atom_site_fract_x
_atom_site_fract_y
_atom_site_fract_z
_atom_site_occupancy
Al1 Al 0.9906 0.8331 0.6674 1
Al2 Al 0.5094 0.8331 0.1674 1
Al3 Al 0.0094 0.1669 0.3326 1
Al4 Al 0.4906 0.1669 0.8326 1
Al5 Al 0.4915 0.6678 0.8327 1
Al6 Al 0.0085 0.6678 0.3327 1
Al7 Al 0.5085 0.3322 0.1673 1
Al8 Al 0.9915 0.3322 0.6673 1
O1 O 0.2929 0.7151 0.6861 1
O2 O 0.2071 0.7151 0.1861 1
O3 O 0.7071 0.2849 0.3139 1
O4 O 0.7929 0.2849 0.8139 1
O5 O 0.8125 0.2177 0.1840 1
O6 O 0.6875 0.2177 0.6840 1
O7 O 0.1875 0.7823 0.8160 1
O8 O 0.3125 0.7823 0.3160 1
O9 O 0.3895 0.4114 0.9913 1
O10 O 0.1105 0.4114 0.4913 1
O11 O 0.6105 0.5886 0.0087 1
O12 O 0.8895 0.5886 0.5087 1
O13 O 0.8913 0.9143 0.4876 1
O14 O 0.6087 0.9143 0.9876 1
O15 O 0.1087 0.0857 0.5124 1
O16 O 0.3913 0.0857 0.0124 1
O17 O 0.7940 0.6080 0.7934 1
O18 O 0.7060 0.6080 0.2934 1
O19 O 0.2060 0.3920 0.2066 1
O20 O 0.2940 0.3920 0.7066 1
O21 O 0.3144 0.1063 0.2963 1
O22 O 0.1856 0.1063 0.7963 1
O23 O 0.6856 0.8937 0.7037 1
O24 O 0.8144 0.8937 0.2037 1
```


Entry 2:
Here is a relaxed Al38O21 crystal from the Materials Project. Energies are from GGA-PBE.

The value obtained for the formation energy is -1.846 eV/atom. As for the total energy: -340.7 eV for the cell shown. The crystal system is triclinic. Its symmetry is No. 1.

Geometry as CIF:
```
data_Al38O21
_cell_length_a 5.6412
_cell_length_b 5.6399
_cell_length_c 50.1475
_cell_angle_alpha 90.71
_cell_angle_beta 91.32
_cell_angle_gamma 60.30
_space_group_name_H-M_alt 'P 1'
_space_group_IT_number 1
loop_
_space_group_symop_operation_xyz
'x,y,z'
loop_
_atom_site_label
_atom_site_type_symbol
_atom_site_fract_x
_atom_site_fract_y
_atom_site_fract_z
_atom_site_occupancy
Al1 Al 0.4908 0.5019 0.0017 1
Al2 Al 0.9900 0.5018 0.0020 1
Al3 Al 0.4903 0.0015 0.0019 1
Al4 Al 0.1616 0.1676 0.0491 1
Al5 Al 0.1627 0.6686 0.0490 1
Al6 Al 0.6618 0.6674 0.0490 1
Al7 Al 0.6629 0.1688 0.0490 1
Al8 Al 0.3333 0.3334 0.0952 1
Al9 Al 0.3333 0.8334 0.0952 1
Al10 Al 0.8333 0.8334 0.0952 1
Al11 Al 0.8333 0.3334 0.0952 1
Al12 Al 0.0000 0.0000 0.1429 1
Al13 Al 0.0000 0.5000 0.1429 1
Al14 Al 0.5000 0.5000 0.1429 1
Al15 Al 0.5000 0.0000 0.1429 1
Al16 Al 0.1786 0.1666 0.1887 1
Al17 Al 0.6727 0.1628 0.1888 1
Al18 Al 0.6781 0.6692 0.1891 1
Al19 Al 0.1734 0.6640 0.1893 1
Al20 Al 0.8518 0.3293 0.2329 1
Al21 Al 0.3531 0.8350 0.2336 1
Al22 Al 0.3587 0.3355 0.2394 1
Al23 Al 0.8565 0.8411 0.2413 1
Al24 Al 0.9547 0.4273 0.2818 1
Al25 Al 0.5071 0.9520 0.2932 1
Al26 Al 0.4359 0.4414 0.3094 1
Al27 Al 0.9773 0.9836 0.3244 1
Al28 Al 0.2555 0.7065 0.3685 1
Al29 Al 0.7893 0.2904 0.3817 1
Al30 Al 0.6520 0.8372 0.3850 1
Al31 Al 0.2093 0.4090 0.4175 1
Al32 Al 0.2056 0.9534 0.4287 1
Al33 Al 0.0563 0.7138 0.4754 1
Al34 Al 0.4997 0.0748 0.4784 1
Al35 Al 0.7013 0.4258 0.4930 1
Al36 Al 0.2169 0.0994 0.5334 1
Al37 Al 0.7522 0.1586 0.5473 1
Al38 Al 0.9903 0.0020 0.0018 1
O1 O 0.3355 0.3303 0.2795 1
O2 O 0.8516 0.8015 0.2783 1
O3 O 0.6302 0.5893 0.3011 1
O4 O 0.1352 0.0996 0.3024 1
O5 O 0.6252 0.1007 0.3216 1
O6 O 0.1849 0.6310 0.3330 1
O7 O 0.0261 0.0580 0.3590 1
O8 O 0.6202 0.5955 0.3614 1
O9 O 0.0182 0.6580 0.3890 1
O10 O 0.5288 0.2009 0.3907 1
O11 O 0.4156 0.7730 0.4020 1
O12 O 0.9731 0.2675 0.4117 1
O13 O 0.1444 0.6950 0.4400 1
O14 O 0.3591 0.1318 0.4440 1
O15 O 0.8290 0.0734 0.4792 1
O16 O 0.7799 0.6468 0.4753 1
O17 O 0.3691 0.4536 0.4880 1
O18 O 0.3229 0.9868 0.5005 1
O19 O 0.8270 0.3693 0.5263 1
O20 O 0.0885 0.9345 0.5536 1
O21 O 0.4463 0.1791 0.5488 1
```


Entry 3:
Here is a relaxed Al38O21 crystal from the Materials Project. Energies are from GGA-PBE.

The value obtained for the formation energy is -1.854 eV/atom. As for the total energy: -341.2 eV for the cell shown. The crystal system is triclinic. Its symmetry is No. 1.

Geometry as CIF:
```
data_Al38O21
_cell_length_a 5.6132
_cell_length_b 5.6597
_cell_length_c 51.2646
_cell_angle_alpha 89.67
_cell_angle_beta 90.83
_cell_angle_gamma 60.66
_space_group_name_H-M_alt 'P 1'
_space_group_IT_number 1
loop_
_space_group_symop_operation_xyz
'x,y,z'
loop_
_atom_site_label
_atom_site_type_symbol
_atom_site_fract_x
_atom_site_fract_y
_atom_site_fract_z
_atom_site_occupancy
Al1 Al 0.4619 0.5259 0.0076 1
Al2 Al 0.9603 0.5274 0.0077 1
Al3 Al 0.4616 0.0256 0.0078 1
Al4 Al 0.1411 0.1877 0.0535 1
Al5 Al 0.1449 0.6860 0.0536 1
Al6 Al 0.6419 0.6872 0.0537 1
Al7 Al 0.6454 0.1851 0.0536 1
Al8 Al 0.3193 0.3438 0.0986 1
Al9 Al 0.3187 0.8448 0.0986 1
Al10 Al 0.8217 0.8420 0.0987 1
Al11 Al 0.8176 0.3438 0.0985 1
Al12 Al 0.9955 0.0083 0.1447 1
Al13 Al 0.9944 0.5049 0.1440 1
Al14 Al 0.4941 0.5085 0.1447 1
Al15 Al 0.4962 0.0051 0.1441 1
Al16 Al 0.1725 0.1680 0.1891 1
Al17 Al 0.6691 0.1615 0.1896 1
Al18 Al 0.6716 0.6689 0.1895 1
Al19 Al 0.1694 0.6605 0.1899 1
Al20 Al 0.8504 0.3333 0.2328 1
Al21 Al 0.3460 0.8404 0.2328 1
Al22 Al 0.3541 0.3432 0.2395 1
Al23 Al 0.8461 0.8472 0.2397 1
Al24 Al 0.9555 0.4358 0.2806 1
Al25 Al 0.5134 0.9601 0.2925 1
Al26 Al 0.4388 0.4492 0.3086 1
Al27 Al 0.9868 0.9920 0.3238 1
Al28 Al 0.2620 0.7247 0.3678 1
Al29 Al 0.8027 0.2968 0.3797 1
Al30 Al 0.6601 0.8387 0.3847 1
Al31 Al 0.2456 0.3784 0.4129 1
Al32 Al 0.1864 0.9483 0.4283 1
Al33 Al 0.1558 0.6845 0.4724 1
Al34 Al 0.6349 0.0640 0.4635 1
Al35 Al 0.6490 0.5446 0.4955 1
Al36 Al 0.1922 0.0240 0.5278 1
Al37 Al 0.7230 0.1108 0.5399 1
Al38 Al 0.9619 0.0273 0.0074 1
O1 O 0.3346 0.3455 0.2791 1
O2 O 0.8437 0.8098 0.2757 1
O3 O 0.6373 0.5957 0.3004 1
O4 O 0.1407 0.1029 0.3009 1
O5 O 0.6354 0.1046 0.3195 1
O6 O 0.1978 0.6414 0.3323 1
O7 O 0.0306 0.0704 0.3570 1
O8 O 0.6301 0.6073 0.3609 1
O9 O 0.0265 0.6662 0.3879 1
O10 O 0.5429 0.2019 0.3882 1
O11 O 0.3983 0.7973 0.3994 1
O12 O 0.9849 0.2700 0.4091 1
O13 O 0.2394 0.6078 0.4372 1
O14 O 0.4137 0.0791 0.4385 1
O15 O 0.9564 0.0360 0.4571 1
O16 O 0.8172 0.7165 0.4806 1
O17 O 0.4763 0.3681 0.4816 1
O18 O 0.3077 0.8235 0.4988 1
O19 O 0.8330 0.3165 0.5214 1
O20 O 0.0500 0.8824 0.5490 1
O21 O 0.4269 0.1125 0.5387 1
```


Entry 4:
Here is a relaxed AlO3 crystal from the Materials Project. Energies are from GGA-PBE.

The value obtained for the formation energy is -1.487 eV/atom. As for the total energy: -45.0 eV for the cell shown. The crystal system is trigonal. Its symmetry is No. 162.

Geometry as CIF:
```
data_AlO3
_cell_length_a 5.4228
_cell_length_b 5.4228
_cell_length_c 4.0196
_cell_angle_alpha 90.00
_cell_angle_beta 90.00
_cell_angle_gamma 120.00
_space_group_name_H-M_alt 'P 1'
_space_group_IT_number 1
loop_
_space_group_symop_operation_xyz
'x,y,z'
loop_
_atom_site_label
_atom_site_type_symbol
_atom_site_fract_x
_atom_site_fract_y
_atom_site_fract_z
_atom_site_occupancy
Al1 Al 0.3333 0.6667 0.0000 1
Al2 Al 0.6667 0.3333 0.0000 1
O1 O 0.6096 0.0000 0.7813 1
O2 O 0.3904 0.3904 0.7813 1
O3 O 0.0000 0.6096 0.7813 1
O4 O 0.3904 0.0000 0.2187 1
O5 O 0.6096 0.6096 0.2187 1
O6 O 0.0000 0.3904 0.2187 1
```


Entry 5:
Here is a relaxed AlO3 crystal from the Materials Project. Energies are from GGA-PBE.

The value obtained for the formation energy is -1.231 eV/atom. As for the total energy: -184.2 eV for the cell shown. The crystal system is orthorhombic. Its symmetry is No. 61.

Geometry as CIF:
```
data_AlO3
_cell_length_a 5.5254
_cell_length_b 7.9493
_cell_length_c 9.7629
_cell_angle_alpha 90.00
_cell_angle_beta 90.00
_cell_angle_gamma 90.00
_space_group_name_H-M_alt 'P 1'
_space_group_IT_number 1
loop_
_space_group_symop_operation_xyz
'x,y,z'
loop_
_atom_site_label
_atom_site_type_symbol
_atom_site_fract_x
_atom_site_fract_y
_atom_site_fract_z
_atom_site_occupancy
Al1 Al 0.9775 0.5101 0.1967 1
Al2 Al 0.0225 0.4899 0.8033 1
Al3 Al 0.5225 0.4899 0.6967 1
Al4 Al 0.4775 0.5101 0.3033 1
Al5 Al 0.9775 0.9899 0.6967 1
Al6 Al 0.0225 0.0101 0.3033 1
Al7 Al 0.5225 0.0101 0.1967 1
Al8 Al 0.4775 0.9899 0.8033 1
O1 O 0.5643 0.4260 0.4942 1
O2 O 0.4357 0.5740 0.5058 1
O3 O 0.9357 0.5740 0.9942 1
O4 O 0.0643 0.4260 0.0058 1
O5 O 0.1839 0.3984 0.3099 1
O6 O 0.8161 0.6016 0.6901 1
O7 O 0.3161 0.6016 0.8099 1
O8 O 0.6839 0.3984 0.1901 1
O9 O 0.2341 0.3680 0.7003 1
O10 O 0.7659 0.6320 0.2997 1
O11 O 0.2659 0.6320 0.2003 1
O12 O 0.7341 0.3680 0.7997 1
O13 O 0.0643 0.0740 0.5058 1
O14 O 0.9357 0.9260 0.4942 1
O15 O 0.4357 0.9260 0.0058 1
O16 O 0.5643 0.0740 0.9942 1
O17 O 0.1839 0.1016 0.8099 1
O18 O 0.8161 0.8984 0.1901 1
O19 O 0.3161 0.8984 0.3099 1
O20 O 0.6839 0.1016 0.6901 1
O21 O 0.2659 0.8680 0.7003 1
O22 O 0.7341 0.1320 0.2997 1
O23 O 0.2341 0.1320 0.2003 1
O24 O 0.7659 0.8680 0.7997 1
```


Number 1: density 2.2 g/cm3, magnetic moment 3.00 μB/f.u.. Number 2: density 1.6 g/cm3, magnetic moment 0.00 μB/f.u.. Number 3: density 1.6 g/cm3, magnetic moment 0.01 μB/f.u.. Number 4: density 2.4 g/cm3, magnetic moment 3.00 μB/f.u.. Number 5: density 2.3 g/cm3, magnetic moment 1.45 μB/f.u..